Arrangement i

An optimized crystal structure of LiCoS2. Source: Materials Project, functional PBE.

Computed properties:
Space group: No. 11
Size of the total moment: 0.0 μB per formula unit

abc: 3.413 4.502 7.804
angles: 90.00 90.46 90.00
Positions (direct):
Li (0.016, 0.250, 0.376)
Li (0.984, 0.750, 0.624)
Co (0.243, 0.250, 0.870)
Co (0.757, 0.750, 0.130)
S (0.249, 0.750, 0.944)
S (0.260, 0.750, 0.326)
S (0.740, 0.250, 0.674)
S (0.751, 0.250, 0.056)

---

Arrangement ii

An optimized crystal structure of LiCoS2. Source: Materials Project, functional PBE.

Computed properties:
Space group: No. 11
Size of the total moment: 0.0 μB per formula unit

abc: 3.374 4.379 8.082
angles: 90.00 90.39 90.00
Positions (direct):
Li (0.223, 0.250, 0.371)
Li (0.777, 0.750, 0.629)
Co (0.252, 0.750, 0.129)
Co (0.748, 0.250, 0.871)
S (0.246, 0.250, 0.678)
S (0.251, 0.250, 0.052)
S (0.749, 0.750, 0.948)
S (0.754, 0.750, 0.322)

---

Stability ranking, top entry: arrangement ii; the second entry is 16 meV/atom less favorable.

---

Arrangement i

An optimized crystal structure of LiCo2S4. Source: Materials Project, functional PBE.

Computed properties:
Space group: No. 15
Size of the total moment: 0.0 μB per formula unit

abc: 6.689 6.689 6.626
angles: 119.34 119.34 89.85
Positions (direct):
Li (0.000, 0.000, 0.000)
Li (0.000, 0.000, 0.500)
Co (0.000, 0.500, 0.000)
Co (0.374, 0.626, 0.750)
Co (0.500, 0.000, 0.500)
Co (0.626, 0.374, 0.250)
S (0.247, 0.267, 0.004)
S (0.253, 0.741, 0.474)
S (0.259, 0.747, 0.026)
S (0.267, 0.247, 0.504)
S (0.733, 0.753, 0.496)
S (0.741, 0.253, 0.974)
S (0.747, 0.259, 0.526)
S (0.753, 0.733, 0.996)

---

Arrangement ii

An optimized crystal structure of LiCo2S4. Source: Materials Project, functional PBE.

Computed properties:
Space group: No. 227
Size of the total moment: 0.1 μB per formula unit

abc: 6.798 6.798 6.798
angles: 60.00 60.00 60.00
Positions (direct):
Li (0.125, 0.125, 0.125)
Li (0.875, 0.875, 0.875)
Co (0.000, 0.500, 0.500)
Co (0.500, 0.000, 0.500)
Co (0.500, 0.500, 0.000)
Co (0.500, 0.500, 0.500)
S (0.266, 0.266, 0.266)
S (0.266, 0.266, 0.702)
S (0.266, 0.702, 0.266)
S (0.298, 0.734, 0.734)
S (0.702, 0.266, 0.266)
S (0.734, 0.298, 0.734)
S (0.734, 0.734, 0.298)
S (0.734, 0.734, 0.734)

---

Stability ranking, top entry: arrangement ii; the second entry is 159 meV/atom less favorable.

---

Arrangement i

An optimized crystal structure of Lu2Co3Si5. Source: Materials Project, functional PBE.

Computed properties:
Space group: No. 15

abc: 7.774 7.774 5.429
angles: 108.94 108.94 93.70
Positions (direct):
Lu (0.094, 0.370, 0.235)
Lu (0.370, 0.094, 0.735)
Lu (0.630, 0.906, 0.265)
Lu (0.906, 0.630, 0.765)
Co (0.041, 0.762, 0.374)
Co (0.238, 0.959, 0.126)
Co (0.497, 0.503, 0.250)
Co (0.503, 0.497, 0.750)
Co (0.762, 0.041, 0.874)
Co (0.959, 0.238, 0.626)
Si (0.012, 0.988, 0.750)
Si (0.236, 0.432, 0.833)
Si (0.273, 0.727, 0.750)
Si (0.288, 0.712, 0.250)
Si (0.432, 0.236, 0.333)
Si (0.568, 0.764, 0.667)
Si (0.712, 0.288, 0.750)
Si (0.727, 0.273, 0.250)
Si (0.764, 0.568, 0.167)
Si (0.988, 0.012, 0.250)

---

Arrangement ii

An optimized crystal structure of Lu2Co3Si5. Source: Materials Project, functional PBE.

Computed properties:
Space group: No. 72
Size of the total moment: 0.0 μB per formula unit

abc: 7.808 7.808 7.808
angles: 104.79 89.49 138.91
Positions (direct):
Lu (0.134, 0.235, 0.368)
Lu (0.366, 0.735, 0.101)
Lu (0.634, 0.265, 0.899)
Lu (0.866, 0.765, 0.632)
Co (0.137, 0.887, 0.024)
Co (0.250, 0.750, 0.500)
Co (0.363, 0.387, 0.750)
Co (0.637, 0.613, 0.250)
Co (0.750, 0.250, 0.500)
Co (0.863, 0.113, 0.976)
Si (0.021, 0.750, 0.271)
Si (0.102, 0.658, 0.759)
Si (0.250, 0.250, 0.000)
Si (0.398, 0.158, 0.556)
Si (0.479, 0.750, 0.729)
Si (0.521, 0.250, 0.271)
Si (0.602, 0.842, 0.444)
Si (0.750, 0.750, 0.000)
Si (0.898, 0.342, 0.241)
Si (0.979, 0.250, 0.729)

---

Stability ranking, top entry: arrangement i; the second entry is 7 meV/atom less favorable.

---

Arrangement i

An optimized crystal structure of Mg14MnCo. Source: Materials Project, functional PBE.

Computed properties:
Space group: No. 187
Size of the total moment: 5.1 μB per formula unit

abc: 6.230 6.230 9.850
angles: 90.00 90.00 120.00
Positions (direct):
Mg (0.000, 0.000, 0.248)
Mg (0.000, 0.000, 0.752)
Mg (0.016, 0.508, 0.257)
Mg (0.016, 0.508, 0.743)
Mg (0.331, 0.166, 0.500)
Mg (0.337, 0.169, 0.000)
Mg (0.492, 0.508, 0.257)
Mg (0.492, 0.508, 0.743)
Mg (0.492, 0.984, 0.257)
Mg (0.492, 0.984, 0.743)
Mg (0.831, 0.169, 0.000)
Mg (0.831, 0.663, 0.000)
Mg (0.834, 0.166, 0.500)
Mg (0.834, 0.669, 0.500)
Mn (0.333, 0.667, 0.000)
Co (0.333, 0.667, 0.500)

---

Arrangement ii

An optimized crystal structure of Mg14MnCo. Source: Materials Project, functional PBE.

Computed properties:
Space group: No. 38
Size of the total moment: 0.7 μB per formula unit

abc: 9.769 6.200 6.200
angles: 59.88 90.00 90.00
Positions (direct):
Mg (0.000, 0.000, 0.000)
Mg (0.000, 0.003, 0.504)
Mg (0.000, 0.500, 0.500)
Mg (0.000, 0.504, 0.003)
Mg (0.256, 0.163, 0.163)
Mg (0.259, 0.663, 0.663)
Mg (0.276, 0.175, 0.675)
Mg (0.276, 0.675, 0.175)
Mg (0.500, 0.492, 0.997)
Mg (0.500, 0.997, 0.492)
Mg (0.724, 0.175, 0.675)
Mg (0.724, 0.675, 0.175)
Mg (0.741, 0.663, 0.663)
Mg (0.744, 0.163, 0.163)
Mn (0.500, 0.008, 0.008)
Co (0.500, 0.508, 0.508)

---

Stability ranking, top entry: arrangement i; the second entry is 61 meV/atom less favorable.

---

Arrangement i

An optimized crystal structure of Mg14CoMo. Source: Materials Project, functional PBE.

Computed properties:
Space group: No. 187
Size of the total moment: 0.1 μB per formula unit

abc: 6.208 6.208 9.732
angles: 90.00 90.00 120.00
Positions (direct):
Mg (0.000, 0.000, 0.247)
Mg (0.000, 0.000, 0.753)
Mg (0.021, 0.510, 0.253)
Mg (0.021, 0.510, 0.747)
Mg (0.333, 0.166, 0.500)
Mg (0.337, 0.169, 0.000)
Mg (0.490, 0.510, 0.253)
Mg (0.490, 0.510, 0.747)
Mg (0.490, 0.979, 0.253)
Mg (0.490, 0.979, 0.747)
Mg (0.831, 0.169, 0.000)
Mg (0.831, 0.663, 0.000)
Mg (0.834, 0.166, 0.500)
Mg (0.834, 0.667, 0.500)
Co (0.333, 0.667, 0.500)
Mo (0.333, 0.667, 0.000)

---

Arrangement ii

An optimized crystal structure of Mg14CoMo. Source: Materials Project, functional PBE.

Computed properties:
Space group: No. 38
Size of the total moment: 1.8 μB per formula unit

abc: 9.867 6.261 6.261
angles: 59.37 90.00 90.00
Positions (direct):
Mg (0.000, 0.000, 0.000)
Mg (0.000, 0.004, 0.501)
Mg (0.000, 0.499, 0.499)
Mg (0.000, 0.501, 0.004)
Mg (0.254, 0.661, 0.661)
Mg (0.263, 0.159, 0.159)
Mg (0.269, 0.172, 0.672)
Mg (0.269, 0.672, 0.172)
Mg (0.500, 0.505, 0.997)
Mg (0.500, 0.997, 0.505)
Mg (0.731, 0.172, 0.672)
Mg (0.731, 0.672, 0.172)
Mg (0.737, 0.159, 0.159)
Mg (0.746, 0.661, 0.661)
Co (0.500, 0.006, 0.006)
Mo (0.500, 0.507, 0.507)

---

Stability ranking, top entry: arrangement ii; the second entry is 15 meV/atom less favorable.

---

Arrangement i

An optimized crystal structure of MgCo2N2. Source: Materials Project, functional PBE.

Computed properties:
Space group: No. 1
Size of the total moment: 0.0 μB per formula unit

abc: 3.520 3.758 3.947
angles: 76.21 85.75 79.31
Positions (direct):
Mg (0.000, 0.000, 0.000)
Co (0.295, 0.323, 0.396)
Co (0.716, 0.661, 0.617)
N (0.199, 0.824, 0.523)
N (0.758, 0.508, 0.153)

---

Arrangement ii

An optimized crystal structure of MgCo2N2. Source: Materials Project, functional PBE.

Computed properties:
Space group: No. 115
Size of the total moment: 0.1 μB per formula unit

abc: 3.464 3.464 5.039
angles: 90.00 90.00 90.00
Positions (direct):
Mg (0.000, 0.000, 0.000)
Co (0.500, 0.500, 0.260)
Co (0.500, 0.500, 0.740)
N (0.000, 0.500, 0.739)
N (0.500, 0.000, 0.261)

---

Stability ranking, top entry: arrangement i; the second entry is 92 meV/atom less favorable.

---

Arrangement i

An optimized crystal structure of Mg14NbCo. Source: Materials Project, functional PBE.

Computed properties:
Space group: No. 187
Size of the total moment: 0.1 μB per formula unit

abc: 6.308 6.308 9.871
angles: 90.00 90.00 120.00
Positions (direct):
Mg (0.000, 0.000, 0.243)
Mg (0.000, 0.000, 0.757)
Mg (0.022, 0.511, 0.258)
Mg (0.022, 0.511, 0.742)
Mg (0.331, 0.165, 0.500)
Mg (0.341, 0.171, 0.000)
Mg (0.489, 0.511, 0.258)
Mg (0.489, 0.511, 0.742)
Mg (0.489, 0.978, 0.258)
Mg (0.489, 0.978, 0.742)
Mg (0.829, 0.171, 0.000)
Mg (0.829, 0.659, 0.000)
Mg (0.835, 0.165, 0.500)
Mg (0.835, 0.669, 0.500)
Nb (0.333, 0.667, 0.000)
Co (0.333, 0.667, 0.500)

---

Arrangement ii

An optimized crystal structure of Mg14NbCo. Source: Materials Project, functional PBE.

Computed properties:
Space group: No. 38
Size of the total moment: 0.0 μB per formula unit

abc: 9.937 6.287 6.287
angles: 57.83 90.00 90.00
Positions (direct):
Mg (0.000, 0.000, 0.000)
Mg (0.000, 0.004, 0.500)
Mg (0.000, 0.499, 0.499)
Mg (0.000, 0.500, 0.004)
Mg (0.250, 0.661, 0.661)
Mg (0.267, 0.166, 0.671)
Mg (0.267, 0.671, 0.166)
Mg (0.268, 0.155, 0.155)
Mg (0.500, 0.511, 0.999)
Mg (0.500, 0.999, 0.511)
Mg (0.732, 0.155, 0.155)
Mg (0.733, 0.166, 0.671)
Mg (0.733, 0.671, 0.166)
Mg (0.750, 0.661, 0.661)
Nb (0.500, 0.511, 0.511)
Co (0.500, 0.000, 0.000)

---

Stability ranking, top entry: arrangement ii; the second entry is 20 meV/atom less favorable.

---

Arrangement i

An optimized crystal structure of Mg6NbCo. Source: Materials Project, functional PBE.

Computed properties:
Size of the total moment: 0.1 μB per formula unit

abc: 4.725 5.968 11.004
angles: 90.00 90.00 90.00
Positions (direct):
Mg (0.000, 0.740, 0.082)
Mg (0.000, 0.260, 0.082)
Mg (0.000, 0.000, 0.326)
Mg (0.500, 0.258, 0.424)
Mg (0.500, 0.742, 0.424)
Mg (0.500, 0.000, 0.169)
Mg (0.000, 0.240, 0.582)
Mg (0.000, 0.760, 0.582)
Mg (0.000, 0.500, 0.826)
Mg (0.500, 0.758, 0.924)
Mg (0.500, 0.242, 0.924)
Mg (0.500, 0.500, 0.669)
Nb (0.500, 0.500, 0.193)
Nb (0.500, 0.000, 0.693)
Co (0.000, 0.500, 0.301)
Co (0.000, 0.000, 0.801)

---

Arrangement ii

An optimized crystal structure of Mg6NbCo. Source: Materials Project, functional PBE.

Computed properties:
Size of the total moment: 0.7 μB per formula unit

abc: 4.819 5.798 10.972
angles: 90.00 90.00 90.00
Positions (direct):
Mg (0.500, 0.251, 0.427)
Mg (0.500, 0.749, 0.427)
Mg (0.000, 0.749, 0.084)
Mg (0.000, 0.251, 0.084)
Mg (0.000, 0.000, 0.307)
Mg (0.000, 0.500, 0.327)
Mg (0.500, 0.751, 0.927)
Mg (0.500, 0.249, 0.927)
Mg (0.000, 0.249, 0.584)
Mg (0.000, 0.751, 0.584)
Mg (0.000, 0.500, 0.807)
Mg (0.000, 0.000, 0.827)
Nb (0.500, 0.500, 0.179)
Nb (0.500, 0.000, 0.679)
Co (0.500, 0.000, 0.165)
Co (0.500, 0.500, 0.665)

---

Stability ranking, top entry: arrangement i; the second entry is 62 meV/atom less favorable.

---

Arrangement i

An optimized crystal structure of MgCo6P4. Source: Materials Project, functional PBE.

Computed properties:
Space group: No. 187

abc: 6.571 6.571 3.359
angles: 90.00 90.00 120.00
Positions (direct):
Mg (0.000, 0.000, 0.000)
Co (0.070, 0.535, 0.000)
Co (0.397, 0.199, 0.500)
Co (0.465, 0.535, 0.000)
Co (0.465, 0.930, 0.000)
Co (0.801, 0.199, 0.500)
Co (0.801, 0.603, 0.500)
P (0.187, 0.374, 0.500)
P (0.187, 0.813, 0.500)
P (0.626, 0.813, 0.500)
P (0.667, 0.333, 0.000)

---

Arrangement ii

An optimized crystal structure of MgCo6P4. Source: Materials Project, functional PBE.

Computed properties:
Space group: No. 38
Size of the total moment: 0.8 μB per formula unit

abc: 3.564 6.467 6.467
angles: 68.11 90.00 90.00
Positions (direct):
Mg (0.000, 0.000, 0.000)
Co (0.000, 0.148, 0.606)
Co (0.000, 0.606, 0.148)
Co (0.000, 0.717, 0.717)
Co (0.500, 0.361, 0.361)
Co (0.500, 0.378, 0.765)
Co (0.500, 0.765, 0.378)
P (0.000, 0.507, 0.507)
P (0.500, 0.160, 0.160)
P (0.500, 0.578, 0.975)
P (0.500, 0.975, 0.578)

---

Stability ranking, top entry: arrangement i; the second entry is 334 meV/atom less favorable.